# 1
First-principles (GGA-PBE) data for a relaxed CdH6CI3N3 crystal, as listed in the Materials Project database. Values from VASP.

Cell and atoms, written as Quantum ESPRESSO input:
```
&SYSTEM
  ibrav = 0, nat = 28, ntyp = 5
/
ATOMIC_SPECIES
Cd 112.41 Cd.upf
H 1.01 H.upf
C 12.01 C.upf
I 126.90 I.upf
N 14.01 N.upf
CELL_PARAMETERS angstrom
-0.031 0.000 -8.469
8.589 0.000 -2.439
4.294 -8.396 -1.220
ATOMIC_POSITIONS crystal
Cd 0.076 0.920 0.089
Cd 0.576 0.010 0.911
H 0.153 0.343 0.184
H 0.653 0.527 0.816
H 0.234 0.311 0.359
H 0.734 0.670 0.641
H 0.861 0.264 0.575
H 0.361 0.839 0.425
H 0.064 0.269 0.586
H 0.564 0.854 0.414
H 0.755 0.312 0.341
H 0.255 0.653 0.659
H 0.880 0.347 0.173
H 0.380 0.519 0.827
C 0.990 0.315 0.368
C 0.490 0.682 0.632
I 0.061 0.279 0.917
I 0.561 0.196 0.083
I 0.005 0.799 0.414
I 0.505 0.213 0.586
I 0.912 0.817 0.917
I 0.412 0.735 0.083
N 0.135 0.330 0.296
N 0.635 0.627 0.704
N 0.971 0.280 0.521
N 0.471 0.801 0.479
N 0.862 0.337 0.285
N 0.362 0.621 0.715
```

Summary:
The formation energy is -0.4785 eV per atom. Its crystal system is monoclinic. The value obtained for the total energy is -131.41 eV/cell.


# 2
First-principles (GGA-PBE) data for a relaxed Cd3H6C2I6N2O2 crystal, as listed in the Materials Project database. Values from VASP.

Cell and atoms, written as Quantum ESPRESSO input:
```
&SYSTEM
  ibrav = 0, nat = 42, ntyp = 6
/
ATOMIC_SPECIES
Cd 112.41 Cd.upf
H 1.01 H.upf
C 12.01 C.upf
I 126.90 I.upf
N 14.01 N.upf
O 16.00 O.upf
CELL_PARAMETERS angstrom
14.198 0.000 0.000
0.000 16.601 0.000
0.000 0.000 4.313
ATOMIC_POSITIONS crystal
Cd 0.737 0.112 0.102
Cd 0.263 0.888 0.102
Cd 0.237 0.388 0.602
Cd 0.763 0.612 0.602
Cd 0.500 0.000 0.625
Cd 0.000 0.500 0.125
H 0.078 0.054 0.048
H 0.922 0.946 0.048
H 0.578 0.446 0.548
H 0.422 0.554 0.548
H 0.107 0.157 0.025
H 0.893 0.843 0.025
H 0.607 0.343 0.525
H 0.393 0.657 0.525
H 0.948 0.195 0.984
H 0.052 0.805 0.984
H 0.448 0.305 0.484
H 0.552 0.695 0.484
C 0.966 0.131 0.015
C 0.034 0.869 0.015
C 0.466 0.369 0.515
C 0.534 0.631 0.515
I 0.523 0.126 0.125
I 0.477 0.874 0.125
I 0.023 0.374 0.625
I 0.977 0.626 0.625
I 0.761 0.232 0.588
I 0.239 0.768 0.588
I 0.261 0.268 0.088
I 0.739 0.732 0.088
I 0.713 0.982 0.615
I 0.287 0.018 0.615
I 0.213 0.518 0.115
I 0.787 0.482 0.115
N 0.057 0.113 0.028
N 0.943 0.887 0.028
N 0.557 0.387 0.528
N 0.443 0.613 0.528
O 0.902 0.078 0.033
O 0.098 0.922 0.033
O 0.402 0.422 0.533
O 0.598 0.578 0.533
```

Summary:
The formation energy is -0.6238 eV per atom. Its crystal system is orthorhombic. The value obtained for the total energy is -178.04 eV/cell.


# 3
First-principles (GGA-PBE) data for a relaxed CdH12C4I2N4O4 crystal, as listed in the Materials Project database. Values from VASP.

Cell and atoms, written as Quantum ESPRESSO input:
```
&SYSTEM
  ibrav = 0, nat = 54, ntyp = 6
/
ATOMIC_SPECIES
Cd 112.41 Cd.upf
H 1.01 H.upf
C 12.01 C.upf
I 126.90 I.upf
N 14.01 N.upf
O 16.00 O.upf
CELL_PARAMETERS angstrom
-6.706 0.000 -4.329
6.706 0.000 -4.329
0.000 -14.048 4.329
ATOMIC_POSITIONS crystal
Cd 0.807 0.307 0.500
Cd 0.557 0.557 0.000
H 0.482 0.996 0.735
H 0.261 0.747 0.265
H 0.246 0.232 0.235
H 0.997 0.011 0.765
H 0.702 0.063 0.811
H 0.252 0.891 0.189
H 0.313 0.452 0.311
H 0.141 0.002 0.689
H 0.386 0.628 0.515
H 0.113 0.871 0.485
H 0.878 0.136 0.015
H 0.121 0.863 0.985
H 0.533 0.800 0.465
H 0.336 0.068 0.535
H 0.050 0.283 0.965
H 0.318 0.086 0.035
H 0.868 0.211 0.708
H 0.503 0.160 0.292
H 0.461 0.618 0.208
H 0.410 0.253 0.792
H 0.735 0.665 0.453
H 0.212 0.282 0.547
H 0.915 0.485 0.953
H 0.532 0.962 0.047
C 0.712 0.147 0.686
C 0.460 0.025 0.314
C 0.397 0.462 0.186
C 0.275 0.210 0.814
C 0.613 0.592 0.482
C 0.110 0.130 0.518
C 0.842 0.363 0.982
C 0.380 0.860 0.018
I 0.115 0.583 0.654
I 0.929 0.461 0.346
I 0.833 0.865 0.154
I 0.711 0.679 0.846
N 0.626 0.072 0.751
N 0.321 0.875 0.249
N 0.322 0.376 0.251
N 0.125 0.071 0.749
N 0.498 0.676 0.485
N 0.191 0.013 0.515
N 0.926 0.248 0.985
N 0.263 0.941 0.015
O 0.626 0.147 0.607
O 0.540 0.019 0.393
O 0.397 0.376 0.107
O 0.269 0.290 0.893
O 0.584 0.442 0.507
O 0.935 0.077 0.493
O 0.692 0.334 0.007
O 0.327 0.685 0.993
```

Summary:
The formation energy is -0.6212 eV per atom. Its crystal system is orthorhombic. The value obtained for the total energy is -297.52 eV/cell.